Here is a geometry-optimized Sr3TeO6 structure from the Materials Project. Energies are from PBE.

Structure (extended XYZ):
```
80
Lattice="-6.8782 6.8782 6.8782 6.8782 -6.8782 6.8782 6.8782 6.8782 -6.8782" Properties=species:S:1:pos:R:3 pbc="T T T"
Sr -3.0627 6.4842 5.1553
Sr -1.7229 3.0627 6.4842
Sr -0.3940 1.7229 3.0627
Sr 0.3940 5.1553 3.0627
Sr 0.3940 1.7229 9.9408
Sr 0.3940 8.6011 3.8155
Sr 1.7229 3.8155 6.4842
Sr 1.7229 3.0627 -0.3940
Sr 1.7229 9.9408 0.3940
Sr 3.0627 0.3940 5.1553
Sr 3.0627 -0.3940 1.7229
Sr 3.0627 6.4842 -1.7229
Sr 3.8155 7.2721 5.1553
Sr 3.8155 0.3940 8.6011
Sr 3.8155 6.4842 1.7229
Sr 5.1553 3.8155 7.2721
Sr 5.1553 -3.0627 6.4842
Sr 5.1553 3.0627 0.3940
Sr 6.4842 -1.7229 3.0627
Sr 6.4842 1.7229 3.8155
Sr 6.4842 5.1553 -3.0627
Sr 7.2721 5.1553 3.8155
Sr 8.6011 3.8155 0.3940
Sr 9.9408 0.3940 1.7229
Te -3.4391 3.4391 3.4391
Te 0.0000 0.0000 0.0000
Te 0.0000 6.8782 0.0000
Te 0.0000 0.0000 6.8782
Te 3.4391 3.4391 3.4391
Te 3.4391 3.4391 -3.4391
Te 3.4391 -3.4391 3.4391
Te 6.8782 0.0000 0.0000
O 1.8888 0.4550 -0.3225
O -3.8200 3.8374 5.3297
O -3.0581 3.8374 8.4267
O -1.5485 3.8200 3.8374
O -1.5485 9.9363 3.0408
O -0.3225 4.9894 7.3332
O 6.4231 7.2007 4.9894
O -0.4550 6.5557 4.9894
O -0.4550 7.2007 1.8888
O 0.4550 0.3225 4.9894
O 0.3225 4.9894 0.4550
O 0.3225 1.8888 7.3332
O 7.2007 4.9894 6.4231
O 1.5485 3.0582 3.8374
O 1.5485 10.6982 3.0408
O 1.8888 7.3332 0.3225
O 1.8888 -0.4550 7.2007
O 1.8888 6.4231 6.5557
O 3.0408 -1.5485 9.9363
O 3.0408 1.5485 10.6982
O 3.0408 5.3297 3.8200
O 3.0408 8.4267 3.0582
O 3.0582 3.0408 8.4267
O 3.0582 3.8374 1.5485
O 3.8200 3.0408 5.3297
O 3.8200 3.8374 -1.5485
O 3.8374 1.5485 3.0582
O 3.8374 5.3297 -3.8200
O 3.8374 -1.5485 3.8200
O 3.8374 8.4267 -3.0581
O 4.9894 -0.4550 6.5557
O 4.9894 0.4550 0.3225
O 4.9894 7.3332 -0.3225
O 5.3297 -3.8200 3.8374
O 5.3297 3.8200 3.0408
O 6.5557 1.8888 6.4231
O -0.3225 1.8888 0.4550
O 6.5557 4.9894 -0.4550
O 6.4231 6.5557 1.8888
O 7.3332 -0.3225 4.9894
O 7.3332 0.3225 1.8888
O 0.4550 -0.3225 1.8888
O 7.2007 1.8888 -0.4550
O 8.4267 -3.0581 3.8374
O 8.4267 3.0582 3.0408
O 9.9363 3.0408 -1.5485
O 10.6982 3.0408 1.5485
O 4.9894 6.4231 7.2007
```

The corrected total energy (MP2020 scheme) is -518.88 eV/cell. The value obtained for the total energy is -6.0738 eV/atom. The theoretical density is 4.96 g cm⁻³. Its formation enthalpy at 0 K is -2.696 eV per atom. The total magnetization comes out at 0.00 μB per formula unit.